Record 1
NbFeP | PBE-GGA | optimized geometry

Values from the calculation:
crystal system: orthorhombic
VASP energy: -8.871 eV per atom
ΔH_f (0 K): -0.877 eV per atom

Structure (CIF):
```
data_NbFeP
_chemical_formula_sum 'Nb4 Fe4 P4'
_cell_length_a 6.1533
_cell_length_b 3.5973
_cell_length_c 6.9760
_cell_angle_alpha 90.00
_cell_angle_beta 90.00
_cell_angle_gamma 90.00
_space_group_name_H-M_alt 'P n m a'
_space_group_IT_number 62
loop_
_space_group_symop_operation_xyz
'x,y,z'
'-x,-y,-z'
'-x+1/2,-y,z+1/2'
'x+1/2,y,-z+1/2'
'x+1/2,-y+1/2,-z+1/2'
'-x+1/2,y+1/2,z+1/2'
'-x,y+1/2,-z'
'x,-y+1/2,z'
loop_
_atom_site_label
_atom_site_fract_x
_atom_site_fract_y
_atom_site_fract_z
_atom_site_occupancy
Nb1 0.0226 0.2500 0.1765 1
Fe1 0.1411 0.2500 0.5620 1
P1 0.2222 0.7500 0.3814 1
```

***

Record 2
Dy2Ge3Pt9 | PBE-GGA | optimized geometry

Values from the calculation:
crystal system: monoclinic
VASP energy: -6.329 eV per atom
ΔH_f (0 K): -0.777 eV per atom

Structure (CIF):
```
data_Dy2Ge3Pt9
_chemical_formula_sum 'Dy8 Ge12 Pt36'
_cell_length_a 13.5197
_cell_length_b 7.8329
_cell_length_c 10.1326
_cell_angle_alpha 90.00
_cell_angle_beta 116.75
_cell_angle_gamma 90.00
_space_group_name_H-M_alt 'C 1 2/c 1'
_space_group_IT_number 15
loop_
_space_group_symop_operation_xyz
'x,y,z'
'-x,-y,-z'
'-x,y,-z+1/2'
'x,-y,z+1/2'
'x+1/2,y+1/2,z'
'-x+1/2,-y+1/2,-z'
'-x+1/2,y+1/2,-z+1/2'
'x+1/2,-y+1/2,z+1/2'
loop_
_atom_site_label
_atom_site_fract_x
_atom_site_fract_y
_atom_site_fract_z
_atom_site_occupancy
Dy1 0.1696 0.0854 0.2508 1
Ge1 0.0892 0.2299 0.4977 1
Ge2 0.2500 0.2500 0.0000 1
Pt1 0.0000 0.3668 0.2500 1
Pt2 0.0589 0.0812 0.9223 1
Pt3 0.1056 0.3098 0.7431 1
Pt4 0.1091 0.4119 0.0705 1
Pt5 0.2235 0.4170 0.4213 1
```

***

Record 3
Na6TlSb4 | PBE-GGA | optimized geometry

Values from the calculation:
total magnetic moment: 0.0 μB/f.u.
crystal system: monoclinic
VASP energy: -2.728 eV per atom
ΔH_f (0 K): -0.360 eV per atom

Structure (CIF):
```
data_Na6TlSb4
_chemical_formula_sum 'Na48 Tl8 Sb32'
_cell_length_a 15.0833
_cell_length_b 10.8006
_cell_length_c 17.8006
_cell_angle_alpha 90.00
_cell_angle_beta 114.20
_cell_angle_gamma 90.00
_space_group_name_H-M_alt 'C 1 2/c 1'
_space_group_IT_number 15
loop_
_space_group_symop_operation_xyz
'x,y,z'
'-x,-y,-z'
'-x,y,-z+1/2'
'x,-y,z+1/2'
'x+1/2,y+1/2,z'
'-x+1/2,-y+1/2,-z'
'-x+1/2,y+1/2,-z+1/2'
'x+1/2,-y+1/2,z+1/2'
loop_
_atom_site_label
_atom_site_fract_x
_atom_site_fract_y
_atom_site_fract_z
_atom_site_occupancy
Na1 0.0209 0.1363 0.0772 1
Na2 0.0679 0.3508 0.5919 1
Na3 0.1114 0.3823 0.2346 1
Na4 0.1189 0.0964 0.7381 1
Na5 0.1929 0.3364 0.0535 1
Na6 0.2016 0.1450 0.4006 1
Tl1 0.0919 0.3492 0.8310 1
Sb1 0.0938 0.1101 0.9287 1
Sb2 0.1031 0.3995 0.4273 1
Sb3 0.2065 0.0611 0.5858 1
Sb4 0.2404 0.1429 0.2293 1
```

***

Record 4
Eu2SeO2 | PBE-GGA | optimized geometry

Values from the calculation:
total magnetic moment: 12.0 μB/f.u.
crystal system: tetragonal
VASP energy: -9.175 eV per atom
ΔH_f (0 K): -2.669 eV per atom

Structure (CIF):
```
data_Eu2SeO2
_chemical_formula_sum 'Eu4 Se2 O4'
_cell_length_a 3.9487
_cell_length_b 3.9487
_cell_length_c 12.6484
_cell_angle_alpha 90.00
_cell_angle_beta 90.00
_cell_angle_gamma 90.00
_space_group_name_H-M_alt 'I 4/m m m'
_space_group_IT_number 139
_space_group_name_Hall '-I 4 2'
loop_
_atom_site_label
_atom_site_fract_x
_atom_site_fract_y
_atom_site_fract_z
_atom_site_occupancy
Eu1 0.0000 0.0000 0.1577 1
Se1 0.0000 0.0000 0.5000 1
O1 0.0000 0.5000 0.2500 1
```

***

Record 5
Ba6Tb2Ga4O15 | PBE-GGA | optimized geometry

Values from the calculation:
total magnetic moment: 0.0 μB/f.u.
crystal system: monoclinic
VASP energy: -6.578 eV per atom
ΔH_f (0 K): -2.992 eV per atom

Structure (CIF):
```
data_Ba6Tb2Ga4O15
_chemical_formula_sum 'Ba12 Tb4 Ga8 O30'
_cell_length_a 8.0546
_cell_length_b 6.0514
_cell_length_c 18.6943
_cell_angle_alpha 90.00
_cell_angle_beta 91.39
_cell_angle_gamma 90.00
_space_group_name_H-M_alt 'P 1 2/c 1'
_space_group_IT_number 13
loop_
_space_group_symop_operation_xyz
'x,y,z'
'-x,-y,-z'
'-x,y,-z+1/2'
'x,-y,z+1/2'
loop_
_atom_site_label
_atom_site_fract_x
_atom_site_fract_y
_atom_site_fract_z
_atom_site_occupancy
Ba1 0.0000 0.1654 0.2500 1
Ba2 0.0013 0.2568 0.5785 1
Ba3 0.4709 0.2432 0.9100 1
Ba4 0.5000 0.2242 0.2500 1
Tb1 0.2518 0.2456 0.0900 1
Ga1 0.2544 0.2504 0.4411 1
Ga2 0.2699 0.2754 0.7343 1
O1 0.0330 0.2563 0.4080 1
O2 0.1896 0.1727 0.8184 1
O3 0.2247 0.4556 0.1908 1
O4 0.2482 0.0513 0.6643 1
O5 0.2637 0.4941 0.5049 1
O6 0.2656 0.0046 0.9989 1
O7 0.4530 0.2621 0.3908 1
O8 0.5000 0.2939 0.7500 1
```